Entry 1:
Co3O5F | GGA+U | optimized geometry

Structure (extended XYZ):
```
18
Lattice="-1.1879 -0.9043 -2.4721 4.0229 0.2772 -2.0344 2.6207 -12.8299 3.4341" Properties=species:S:1:pos:R:3 pbc="T T T"
O 5.5125 -12.2475 0.1447
O 3.9134 -3.6631 -2.2272
Co 2.5078 -11.1870 1.2005
Co 2.8993 0.1940 -1.4641
O 0.3119 -1.2293 0.2998
O 1.7037 -1.1072 -2.1005
O 4.9313 -7.8275 -1.1930
F 2.3670 -2.8384 -0.0991
Co 0.6865 -2.4200 -1.1315
Co 1.8424 -6.7953 -0.0863
O 4.0517 -11.4478 2.2409
Co 4.8812 -8.2250 0.6634
O 1.5276 -5.6056 1.3166
O 2.2447 -9.8721 2.5328
O 3.3633 -7.0868 0.9764
Co 4.0216 -4.1662 -0.4083
F 3.5815 -9.6712 0.1301
O 2.7914 -5.4406 -1.0379
```

## Properties
size of the total moment: 5.76 μB per formula unit
total DFT energy (no corrections): -5.548 eV per atom
crystal system: orthorhombic
space group: Pmn2_1

Entry 2:
Co3O5F | GGA+U | optimized geometry

Structure (extended XYZ):
```
18
Lattice="-0.9486 0.0098 2.7522 1.6576 -4.1579 0.5861 12.0396 4.6108 4.1330" Properties=species:S:1:pos:R:3 pbc="T T T"
O 3.2833 -0.2194 1.1324
O 4.7598 0.9688 3.1766
F 8.6268 2.5915 4.5036
O 11.3625 2.8511 3.9059
O 7.9888 -0.5062 4.2948
Co 10.5313 1.7094 5.1632
O 2.3347 -2.3983 0.8132
O 10.4139 0.6722 3.5868
Co 4.1726 1.4889 1.4328
O 12.1754 0.9193 5.7326
Co 2.2172 -1.2468 2.3082
O 0.5732 -0.4567 1.7388
Co 9.5245 -1.0360 3.2864
O 6.4110 -0.8848 2.2127
O 7.2861 1.3376 2.5064
F 4.1218 -2.1288 2.9678
Co 6.3743 0.2313 3.7357
Co 0.0000 0.0000 0.0000
```

## Properties
size of the total moment: 5.38 μB per formula unit
total DFT energy (no corrections): -5.548 eV per atom
crystal system: monoclinic
space group: P2/m